First-principles (PBE with a Hubbard U) data for a relaxed structure of Mn2VPO7, as listed in Materials Project.

abc: 5.524 5.524 4.850
angles: 97.76 97.76 105.84
Atoms (fractional coordinates):
Mn: 0.190 0.810 0.000
Mn: 0.810 0.190 0.000
V: 0.728 0.728 0.405
P: 0.270 0.270 0.595
O: 0.091 0.091 0.325
O: 0.125 0.414 0.774
O: 0.414 0.125 0.774
O: 0.470 0.470 0.474
O: 0.570 0.899 0.210
O: 0.876 0.876 0.748
O: 0.899 0.570 0.210

total moment	0.91	μB/atom
energy of formation from the pure elements	-2.460	eV per atom
symmetry	No. 8
V	12.616	Å³/atom